[1]
Here is a relaxed K2HgH2Cl4O crystal from the Materials Project. Energies are from PBE-GGA.

Calculated values
Its total energy after the MP2020 corrections is -3.51 eV per atom. As for the space group: Pbam (55). The calculation puts the volume at 22.87 Å³ per atom. The energy of formation is -1.342 eV per atom. The calculated total energy comes out at -3.44 eV per atom.

POSCAR file:
```
K2HgH2Cl4O
1.0
8.4821 0.0000 0.0000
0.0000 11.9270 0.0000
0.0000 0.0000 9.0408
K Hg H Cl O
8 4 8 16 4
direct
0.0799 0.1551 0.0000
0.1072 0.1969 0.5000
0.3928 0.6969 0.5000
0.4201 0.6551 0.0000
0.5799 0.3449 0.0000
0.6072 0.3031 0.5000
0.8928 0.8031 0.5000
0.9201 0.8449 0.0000
0.0000 0.5000 0.2248
0.0000 0.5000 0.7752
0.5000 0.0000 0.2248
0.5000 0.0000 0.7752
0.0863 0.9774 0.2997
0.0863 0.9774 0.7003
0.4137 0.4774 0.2997
0.4137 0.4774 0.7003
0.5863 0.5226 0.2997
0.5863 0.5226 0.7003
0.9137 0.0226 0.2997
0.9137 0.0226 0.7003
0.1153 0.6859 0.2543
0.1153 0.6859 0.7457
0.2015 0.4241 0.0000
0.2377 0.9403 0.5000
0.2623 0.4403 0.5000
0.2985 0.9241 0.0000
0.3847 0.1859 0.2543
0.3847 0.1859 0.7457
0.6153 0.8141 0.2543
0.6153 0.8141 0.7457
0.7015 0.0759 0.0000
0.7377 0.5597 0.5000
0.7623 0.0597 0.5000
0.7985 0.5759 0.0000
0.8847 0.3141 0.2543
0.8847 0.3141 0.7457
0.0000 0.0000 0.2328
0.0000 0.0000 0.7672
0.5000 0.5000 0.2328
0.5000 0.5000 0.7672
```


[2]
Here is a relaxed HgH10N2Cl4O crystal from the Materials Project. Energies are from PBE-GGA.

Calculated values
Its total energy after the MP2020 corrections is -4.22 eV per atom. As for the space group: Pbam (55). The calculation puts the volume at 13.32 Å³ per atom. The energy of formation is -0.710 eV per atom. The calculated total energy comes out at -4.19 eV per atom.

POSCAR file:
```
HgH10N2Cl4O
1.0
8.6216 0.0000 0.0000
0.0000 11.9648 0.0000
0.0000 0.0000 9.2997
Hg H N Cl O
4 40 8 16 4
direct
0.0000 0.0000 0.2214
0.0000 0.0000 0.7786
0.5000 0.5000 0.2214
0.5000 0.5000 0.7786
0.0340 0.2984 0.4105
0.0340 0.2984 0.5895
0.0395 0.6758 0.0000
0.0855 0.5220 0.3032
0.0855 0.5220 0.6968
0.0986 0.3900 0.0906
0.0986 0.3900 0.9094
0.1404 0.2681 0.0000
0.1670 0.3781 0.5000
0.1766 0.2337 0.5000
0.3234 0.7337 0.5000
0.3330 0.8781 0.5000
0.3596 0.7681 0.0000
0.4014 0.8900 0.0906
0.4014 0.8900 0.9094
0.4145 0.0220 0.3032
0.4145 0.0220 0.6968
0.4605 0.1758 0.0000
0.4660 0.7984 0.4105
0.4660 0.7984 0.5895
0.5340 0.2016 0.4105
0.5340 0.2016 0.5895
0.5395 0.8242 0.0000
0.5855 0.9780 0.3032
0.5855 0.9780 0.6968
0.5986 0.1100 0.0906
0.5986 0.1100 0.9094
0.6404 0.2319 0.0000
0.6670 0.1219 0.5000
0.6766 0.2663 0.5000
0.8234 0.7663 0.5000
0.8330 0.6219 0.5000
0.8596 0.7319 0.0000
0.9014 0.6100 0.0906
0.9014 0.6100 0.9094
0.9145 0.4780 0.3032
0.9145 0.4780 0.6968
0.9605 0.3242 0.0000
0.9660 0.7016 0.4105
0.9660 0.7016 0.5895
0.0772 0.3424 0.0000
0.1042 0.3036 0.5000
0.3958 0.8036 0.5000
0.4228 0.8424 0.0000
0.5772 0.1576 0.0000
0.6042 0.1964 0.5000
0.8958 0.6964 0.5000
0.9228 0.6576 0.0000
0.1173 0.8190 0.2507
0.1173 0.8190 0.7493
0.2017 0.0798 0.0000
0.2417 0.5580 0.5000
0.2583 0.0580 0.5000
0.2983 0.5798 0.0000
0.3827 0.3190 0.2507
0.3827 0.3190 0.7493
0.6173 0.6810 0.2507
0.6173 0.6810 0.7493
0.7017 0.4202 0.0000
0.7417 0.9420 0.5000
0.7583 0.4420 0.5000
0.7983 0.9202 0.0000
0.8827 0.1810 0.2507
0.8827 0.1810 0.7493
0.0000 0.5000 0.2383
0.0000 0.5000 0.7617
0.5000 0.0000 0.2383
0.5000 0.0000 0.7617
```


[3]
Here is a relaxed HoH2ClO2 crystal from the Materials Project. Energies are from PBE-GGA.

Calculated values
Its total energy after the MP2020 corrections is -6.18 eV per atom. As for the space group: P2_1/m (11). The calculation puts the volume at 11.84 Å³ per atom. The energy of formation is -2.327 eV per atom. The calculated total energy comes out at -5.95 eV per atom.

POSCAR file:
```
HoH2ClO2
1.0
6.1830 0.0000 0.0000
0.0000 3.6187 0.0000
-1.9332 0.0000 6.3504
Ho H Cl O
2 4 2 4
direct
0.2128 0.2500 0.3855
0.7872 0.7500 0.6145
0.1555 0.2500 0.8054
0.3739 0.7500 0.7304
0.6261 0.2500 0.2696
0.8445 0.7500 0.1946
0.2676 0.7500 0.0702
0.7324 0.2500 0.9298
0.0526 0.2500 0.6621
0.3956 0.7500 0.5903
0.6044 0.2500 0.4097
0.9474 0.7500 0.3379
```


[4]
Here is a relaxed K2InH2Cl5O crystal from the Materials Project. Energies are from PBE-GGA.

Calculated values
Its total energy after the MP2020 corrections is -3.84 eV per atom. As for the space group: Pnma (62). The calculation puts the volume at 23.76 Å³ per atom. The energy of formation is -1.479 eV per atom. The calculated total energy comes out at -3.78 eV per atom.

POSCAR file:
```
K2InH2Cl5O
1.0
14.1554 0.0000 0.0000
0.0000 10.0558 0.0000
0.0000 0.0000 7.3449
K In H Cl O
8 4 8 20 4
direct
0.1475 0.0003 0.1410
0.1475 0.4997 0.1410
0.3525 0.9997 0.6410
0.3525 0.5003 0.6410
0.6475 0.0003 0.3590
0.6475 0.4997 0.3590
0.8525 0.9997 0.8590
0.8525 0.5003 0.8590
0.1134 0.2500 0.6868
0.3866 0.7500 0.1868
0.6134 0.2500 0.8132
0.8866 0.7500 0.3132
0.0472 0.6702 0.5429
0.0472 0.8298 0.5429
0.4528 0.1702 0.0429
0.4528 0.3298 0.0429
0.5472 0.6702 0.9571
0.5472 0.8298 0.9571
0.9528 0.1702 0.4571
0.9528 0.3298 0.4571
0.0024 0.2500 0.9583
0.1060 0.5014 0.6846
0.1060 0.9986 0.6846
0.2178 0.2500 0.4100
0.2440 0.7500 0.3948
0.2560 0.2500 0.8948
0.2822 0.7500 0.9100
0.3940 0.0014 0.1846
0.3940 0.4986 0.1846
0.4976 0.7500 0.4583
0.5024 0.2500 0.5417
0.6060 0.5014 0.8154
0.6060 0.9986 0.8154
0.7178 0.2500 0.0900
0.7440 0.7500 0.1052
0.7560 0.2500 0.6052
0.7822 0.7500 0.5900
0.8940 0.0014 0.3154
0.8940 0.4986 0.3154
0.9976 0.7500 0.0417
0.0120 0.7500 0.5036
0.4880 0.2500 0.0036
0.5120 0.7500 0.9964
0.9880 0.2500 0.4964
```


[5]
Here is a relaxed InH10N2Cl5O crystal from the Materials Project. Energies are from PBE-GGA.

Calculated values
Its total energy after the MP2020 corrections is -4.37 eV per atom. As for the space group: Pnma (62). The calculation puts the volume at 13.74 Å³ per atom. The energy of formation is -0.810 eV per atom. The calculated total energy comes out at -4.33 eV per atom.

POSCAR file:
```
InH10N2Cl5O
1.0
14.0633 0.0000 0.0000
0.0000 10.2544 0.0000
0.0000 0.0000 7.2400
In H N Cl O
4 40 8 20 4
direct
0.1150 0.2500 0.1911
0.3850 0.7500 0.6911
0.6150 0.2500 0.3089
0.8850 0.7500 0.8089
0.0367 0.6716 0.0695
0.0367 0.8284 0.0695
0.0753 0.5302 0.6697
0.0753 0.9698 0.6697
0.1414 0.1061 0.6405
0.1414 0.3939 0.6405
0.1766 0.5369 0.5476
0.1766 0.9631 0.5476
0.1812 0.5160 0.7768
0.1812 0.9840 0.7768
0.3188 0.0160 0.2768
0.3188 0.4840 0.2768
0.3234 0.0369 0.0476
0.3234 0.4631 0.0476
0.3586 0.6061 0.1405
0.3586 0.8939 0.1405
0.4247 0.0302 0.1697
0.4247 0.4698 0.1697
0.4633 0.1716 0.5695
0.4633 0.3284 0.5695
0.5367 0.6716 0.4305
0.5367 0.8284 0.4305
0.5753 0.5302 0.8303
0.5753 0.9698 0.8303
0.6414 0.1061 0.8595
0.6414 0.3939 0.8595
0.6766 0.5369 0.9524
0.6766 0.9631 0.9524
0.6812 0.5160 0.7232
0.6812 0.9840 0.7232
0.8188 0.0160 0.2232
0.8188 0.4840 0.2232
0.8234 0.0369 0.4524
0.8234 0.4631 0.4524
0.8586 0.6061 0.3595
0.8586 0.8939 0.3595
0.9247 0.0302 0.3303
0.9247 0.4698 0.3303
0.9633 0.1716 0.9305
0.9633 0.3284 0.9305
0.1436 0.0059 0.6590
0.1436 0.4941 0.6590
0.3564 0.5059 0.1590
0.3564 0.9941 0.1590
0.6436 0.0059 0.8410
0.6436 0.4941 0.8410
0.8564 0.5059 0.3410
0.8564 0.9941 0.3410
0.0028 0.2500 0.4639
0.1038 0.0014 0.1823
0.1038 0.4986 0.1823
0.2260 0.2500 0.9190
0.2451 0.7500 0.9081
0.2549 0.2500 0.4081
0.2740 0.7500 0.4190
0.3962 0.5014 0.6823
0.3962 0.9986 0.6823
0.4972 0.7500 0.9639
0.5028 0.2500 0.0361
0.6038 0.0014 0.3177
0.6038 0.4986 0.3177
0.7260 0.2500 0.5810
0.7451 0.7500 0.5919
0.7549 0.2500 0.0919
0.7740 0.7500 0.0810
0.8962 0.5014 0.8177
0.8962 0.9986 0.8177
0.9972 0.7500 0.5361
0.0096 0.7500 0.0105
0.4904 0.2500 0.5105
0.5096 0.7500 0.4895
0.9904 0.2500 0.9895
```


[6]
Here is a relaxed InH6Cl3O3 crystal from the Materials Project. Energies are from PBE-GGA.

Calculated values
Its total energy after the MP2020 corrections is -4.55 eV per atom. As for the space group: P2_1/c (14). The calculation puts the volume at 15.02 Å³ per atom. The energy of formation is -1.209 eV per atom. The calculated total energy comes out at -4.40 eV per atom.

POSCAR file:
```
InH6Cl3O3
1.0
12.2810 0.0000 0.0000
0.0000 10.7394 0.0000
-8.4446 0.0000 11.8461
In H Cl O
8 48 24 24
direct
0.0807 0.2298 0.2102
0.0807 0.2702 0.7102
0.4140 0.7368 0.2587
0.4140 0.7632 0.7587
0.5860 0.2368 0.2413
0.5860 0.2632 0.7413
0.9193 0.7298 0.2898
0.9193 0.7702 0.7898
0.0411 0.7296 0.6724
0.0411 0.7704 0.1724
0.0519 0.1104 0.8556
0.0519 0.3896 0.3556
0.0793 0.5508 0.8747
0.0793 0.9492 0.3747
0.0863 0.6135 0.9776
0.0863 0.8865 0.4776
0.2304 0.0409 0.7756
0.2304 0.4591 0.2756
0.2299 0.6022 0.5814
0.2299 0.8978 0.0814
0.3189 0.1301 0.8831
0.3189 0.3699 0.3831
0.3214 0.1840 0.6446
0.3214 0.3160 0.1446
0.3302 0.5743 0.8487
0.3302 0.9257 0.3487
0.3671 0.5317 0.6513
0.3671 0.9683 0.1513
0.3899 0.0767 0.6173
0.3899 0.4233 0.1173
0.4016 0.6775 0.9450
0.4016 0.8225 0.4450
0.5984 0.1775 0.5550
0.5984 0.3225 0.0550
0.6101 0.5767 0.8827
0.6101 0.9233 0.3827
0.6329 0.0317 0.8487
0.6329 0.4683 0.3487
0.6698 0.0743 0.6513
0.6698 0.4257 0.1513
0.6786 0.6840 0.8554
0.6786 0.8160 0.3554
0.6811 0.6301 0.6169
0.6811 0.8699 0.1169
0.7701 0.1022 0.9186
0.7701 0.3978 0.4186
0.7696 0.5409 0.7244
0.7696 0.9591 0.2244
0.9137 0.1135 0.5224
0.9137 0.3865 0.0224
0.9207 0.0508 0.6253
0.9207 0.4492 0.1253
0.9481 0.6104 0.6444
0.9481 0.8896 0.1444
0.9589 0.2296 0.8276
0.9589 0.2704 0.3276
0.1262 0.6033 0.3918
0.1262 0.8967 0.8918
0.1490 0.1931 0.0841
0.1490 0.3069 0.5841
0.1852 0.6420 0.1615
0.1852 0.8580 0.6615
0.2213 0.0877 0.3722
0.2213 0.4123 0.8722
0.4602 0.6498 0.1276
0.4602 0.8502 0.6276
0.4607 0.0881 0.0843
0.4607 0.4119 0.5843
0.5393 0.5881 0.4157
0.5393 0.9119 0.9157
0.5398 0.1498 0.3724
0.5398 0.3502 0.8724
0.7787 0.5877 0.1278
0.7787 0.9123 0.6278
0.8148 0.1420 0.3385
0.8148 0.3580 0.8385
0.8510 0.6931 0.4159
0.8510 0.8069 0.9159
0.8738 0.1033 0.1082
0.8738 0.3967 0.6082
0.0010 0.6761 0.7004
0.0010 0.8239 0.2004
0.0282 0.5996 0.8950
0.0282 0.9004 0.3950
0.2452 0.1276 0.8027
0.2452 0.3724 0.3027
0.3106 0.5900 0.6592
0.3106 0.9100 0.1592
0.3877 0.6484 0.8747
0.3877 0.8516 0.3747
0.4062 0.1390 0.6735
0.4062 0.3610 0.1735
0.5938 0.6390 0.8265
0.5938 0.8610 0.3265
0.6123 0.1484 0.6253
0.6123 0.3516 0.1253
0.6894 0.0900 0.8408
0.6894 0.4100 0.3408
0.7548 0.6276 0.6973
0.7548 0.8724 0.1973
0.9718 0.0996 0.6050
0.9718 0.4004 0.1050
0.9990 0.1761 0.7996
0.9990 0.3239 0.2996
```